(1)
FeB18H42C8S2N2: optimized geometry, PBE.

Calculated values
The space group is C2/c, No. 15. The formation energy from the elements comes out at -129 meV/atom. Its crystal system is monoclinic.

abc: 12.4531 12.4531 12.2156
angles: 60.88 60.88 79.17
Element x y z (fractional)
1 C 0.5459 0.3161 0.8723
2 H 0.9523 0.0433 0.1437
3 B 0.5146 0.9904 0.7678
4 B 0.9904 0.5146 0.2678
5 H 0.6852 0.6140 0.8973
6 H 0.6189 0.3110 0.8998
7 H 0.1249 0.3763 0.3881
8 H 0.4206 0.3709 0.3086
9 H 0.1078 0.0230 0.0316
10 C 0.8159 0.0455 0.7655
11 S 0.1213 0.5308 0.7712
12 B 0.0884 0.2927 0.2476
13 C 0.4505 0.4588 0.2116
14 H 0.4526 0.5435 0.8600
15 C 0.5495 0.5412 0.7884
16 H 0.2580 0.9069 0.7148
17 H 0.2888 0.8755 0.9624
18 H 0.4363 0.0614 0.1573
19 H 0.6826 0.8205 0.5055
20 B 0.1724 0.5270 0.0017
21 H 0.1076 0.1864 0.3044
22 B 0.0266 0.6699 0.8043
23 H 0.4462 0.7545 0.1599
24 H 0.6890 0.3811 0.6002
25 B 0.5948 0.8998 0.2059
26 B 0.5474 0.1486 0.6395
27 B 0.8998 0.5948 0.7059
28 C 0.0492 0.0412 0.1215
29 H 0.1795 0.3174 0.9945
30 H 0.2543 0.9459 0.1405
31 C 0.9508 0.9588 0.8785
32 H 0.3913 0.4764 0.1625
33 H 0.4565 0.5474 0.6400
34 C 0.5412 0.5495 0.2884
35 H 0.3860 0.3148 0.6027
36 H 0.7939 0.3768 0.8714
37 H 0.9459 0.2543 0.6405
38 H 0.0541 0.7457 0.3595
39 H 0.8755 0.2888 0.4624
40 C 0.3161 0.5459 0.3723
41 H 0.2061 0.6232 0.1286
42 H 0.3768 0.7939 0.3714
43 S 0.4692 0.8787 0.7288
44 B 0.7911 0.5906 0.8685
45 B 0.3473 0.9545 0.8450
46 H 0.0230 0.1078 0.5316
47 B 0.9545 0.3473 0.3450
48 B 0.4526 0.8514 0.3605
49 H 0.8096 0.1181 0.6712
50 H 0.9567 0.0477 0.3563
51 H 0.2455 0.5538 0.3401
52 H 0.7545 0.4462 0.6599
53 S 0.5308 0.1213 0.2712
54 H 0.5637 0.9386 0.8427
55 C 0.9588 0.9508 0.3785
56 B 0.3301 0.9734 0.6957
57 H 0.3174 0.1795 0.4945
58 H 0.5927 0.2410 0.3804
59 H 0.4764 0.3913 0.6625
60 H 0.1864 0.1076 0.8044
61 C 0.1841 0.9545 0.2345
62 H 0.8751 0.6237 0.6119
63 H 0.9546 0.8044 0.2779
64 H 0.8136 0.8924 0.1956
65 B 0.5906 0.7911 0.3685
66 H 0.1293 0.0798 0.6004
67 H 0.0931 0.7420 0.7852
68 H 0.8044 0.9546 0.7779
69 H 0.8707 0.9202 0.3996
70 B 0.5270 0.1724 0.5017
71 H 0.5474 0.4565 0.1400
72 B 0.8690 0.6268 0.9375
73 B 0.7073 0.9116 0.2524
74 H 0.0798 0.1293 0.1004
75 H 0.5236 0.6087 0.3375
76 H 0.1245 0.7112 0.5376
77 B 0.0096 0.4854 0.7322
78 H 0.7112 0.1245 0.0376
79 B 0.9116 0.7073 0.7524
80 H 0.6232 0.2061 0.6286
81 H 0.1956 0.0454 0.2221
82 H 0.9202 0.8707 0.8996
83 B 0.2089 0.4094 0.1315
84 H 0.1904 0.8819 0.3288
85 H 0.0454 0.1956 0.7221
86 C 0.4588 0.4505 0.7116
87 H 0.5794 0.6291 0.6914
88 H 0.9386 0.5637 0.3427
89 C 0.6839 0.4541 0.6277
90 H 0.6947 0.5448 0.5385
91 H 0.5538 0.2455 0.8401
92 H 0.9770 0.8922 0.4684
93 H 0.3709 0.4206 0.8086
94 B 0.6527 0.0455 0.1550
95 B 0.0455 0.6527 0.6550
96 H 0.7420 0.0931 0.2852
97 B 0.1310 0.3732 0.0625
98 H 0.3763 0.1249 0.8881
99 H 0.1181 0.8096 0.1712
100 Fe 0.0000 0.5000 0.0000
101 H 0.6291 0.5794 0.1914
102 B 0.6268 0.8690 0.4375
103 B 0.4730 0.8276 0.4983
104 B 0.6699 0.0266 0.3043
105 H 0.3148 0.3860 0.1027
106 H 0.6237 0.8751 0.1119
107 C 0.0412 0.0492 0.6215
108 B 0.1486 0.5474 0.1395
109 B 0.3732 0.1310 0.5625
110 N 0.5595 0.4405 0.7500
111 B 0.4052 0.1002 0.7941
112 H 0.0614 0.4363 0.6573
113 B 0.9734 0.3301 0.1957
114 Fe 0.5000 0.0000 0.5000
115 N 0.9408 0.0592 0.7500
116 H 0.0433 0.9523 0.6437
117 N 0.4405 0.5595 0.2500
118 H 0.7457 0.0541 0.8595
119 H 0.4552 0.3053 0.9615
120 N 0.0592 0.9408 0.2500
121 H 0.3053 0.4552 0.4615
122 B 0.8514 0.4526 0.8605
123 B 0.4094 0.2089 0.6315
124 C 0.0455 0.8159 0.2655
125 C 0.4541 0.6839 0.1277
126 H 0.3110 0.6189 0.3998
127 H 0.2410 0.5927 0.8804
128 H 0.6087 0.5236 0.8375
129 H 0.5448 0.6947 0.0385
130 H 0.8924 0.8136 0.6956
131 H 0.7590 0.4073 0.1196
132 B 0.8276 0.4730 0.9983
133 H 0.3811 0.6890 0.1002
134 H 0.8819 0.1904 0.8288
135 H 0.0477 0.9567 0.8563
136 B 0.4854 0.0096 0.2322
137 H 0.9069 0.2580 0.2148
138 C 0.9545 0.1841 0.7345
139 B 0.1002 0.4052 0.2941
140 H 0.8205 0.6826 0.0055
141 H 0.8922 0.9770 0.9684
142 B 0.2927 0.0884 0.7476
143 S 0.8787 0.4692 0.2288
144 H 0.6140 0.6852 0.3973
145 H 0.5435 0.4526 0.3600
146 H 0.4073 0.7590 0.6196

=====

(2)
YRh2Pb: optimized geometry, PBE.

Calculated values
The space group is Fm-3m, No. 225. The formation energy from the elements comes out at -541 meV/atom. Its crystal system is cubic.

abc: 4.7793 4.7793 4.7793
angles: 60.00 60.00 60.00
Element x y z (fractional)
1 Pb 0.5000 0.5000 0.5000
2 Rh 0.7500 0.7500 0.7500
3 Y 0.0000 0.0000 0.0000
4 Rh 0.2500 0.2500 0.2500

=====

(3)
K4NaNb5O15: optimized geometry, PBE.

Calculated values
The space group is Pm, No. 6. The formation energy from the elements comes out at -2845 meV/atom. Its crystal system is monoclinic.

abc: 4.0115 5.7899 29.1327
angles: 89.25 90.00 90.00
Element x y z (fractional)
1 Nb 0.5000 0.0067 0.4068
2 K 0.0000 0.5065 0.6046
3 K 0.0000 0.9971 0.3039
4 O 0.5000 0.2696 0.0453
5 Nb 0.5000 0.5004 0.7076
6 O 0.5000 0.7639 0.6519
7 O 0.5000 0.7219 0.1537
8 O 0.5000 0.2324 0.1461
9 Na 0.0000 0.5162 0.0089
10 K 0.0000 0.5065 0.8050
11 O 0.0000 0.0024 0.5993
12 Nb 0.5000 0.0058 0.8079
13 O 0.0000 0.4987 0.2966
14 Nb 0.5000 0.4995 0.1072
15 K 0.0000 0.9952 0.1043
16 O 0.5000 0.2318 0.9474
17 Nb 0.5000 0.0079 0.0073
18 O 0.5000 0.7695 0.2519
19 O 0.0000 0.4989 0.4992
20 Nb 0.5000 0.0064 0.6074
21 O 0.5000 0.7694 0.0533
22 O 0.0000 0.9972 0.9999
23 O 0.5000 0.7227 0.9548
24 O 0.0000 0.4989 0.0977
25 O 0.5000 0.7327 0.3509
26 K 0.0000 0.9966 0.7047
27 O 0.5000 0.2564 0.6479
28 O 0.5000 0.7642 0.8529
29 Nb 0.5000 0.0089 0.2062
30 Nb 0.5000 0.5021 0.3058
31 O 0.0000 0.4991 0.9005
32 O 0.5000 0.2696 0.2446
33 K 0.0000 0.5067 0.4041
34 O 0.5000 0.2416 0.5478
35 Nb 0.5000 0.5009 0.5072
36 O 0.5000 0.7339 0.5516
37 O 0.0000 0.0026 0.3989
38 K 0.0000 0.9966 0.5044
39 O 0.5000 0.7644 0.4515
40 Nb 0.5000 0.4981 0.9088
41 O 0.0000 0.0019 0.7996
42 O 0.5000 0.2563 0.4475
43 O 0.5000 0.2423 0.3468
44 O 0.0000 0.4988 0.6994
45 O 0.5000 0.7337 0.7520
46 O 0.5000 0.2564 0.8482
47 O 0.0000 0.9979 0.1991
48 K 0.0000 0.9949 0.9049
49 O 0.5000 0.2414 0.7482
50 Na 0.0000 0.5166 0.2085